# 1
Computed, not measured: a relaxed structure of Ce3Ta2N6 at the r2SCAN level of DFT.

Size of the total moment, μB/atom: 0.114

a b c (Å): 10.305 10.305 10.305
angles (deg): 157.46 157.46 32.09
Fractional coordinates of all 11 atoms:
Ce 0.000 0.000 0.000
Ce 0.183 0.183 0.000
Ce 0.817 0.817 0.000
Ta 0.400 0.400 0.000
Ta 0.600 0.600 0.000
N 0.083 0.583 0.500
N 0.301 0.301 0.000
N 0.417 0.917 0.500
N 0.583 0.083 0.500
N 0.699 0.699 0.000
N 0.917 0.417 0.500


# 2
Computed, not measured: a relaxed structure of PrCu2O4 at the r2SCAN level of DFT.

Size of the total moment, μB/atom: 0.143

a b c (Å): 6.365 6.365 6.365
angles (deg): 125.57 125.57 80.59
Fractional coordinates of all 14 atoms:
Pr 0.375 0.125 0.250
Pr 0.625 0.875 0.750
Cu 0.000 0.000 0.500
Cu 0.000 0.500 0.000
Cu 0.000 0.500 0.500
Cu 0.500 0.500 0.000
O 0.033 0.147 0.330
O 0.203 0.533 0.386
O 0.317 0.703 0.170
O 0.353 0.183 0.886
O 0.647 0.817 0.114
O 0.683 0.297 0.830
O 0.797 0.467 0.614
O 0.967 0.853 0.670


| no. | formation enthalpy at 0 K (eV per atom) |
| --- | --- |
| 1 | -1.651 |
| 2 | -1.853 |